A plane-wave DFT calculation with PBE was carried out for crystalline HfMnRh2 at its relaxed geometry.

POSCAR file:
```
HfMnRh2
1.0
0.000 3.168 3.168
3.168 0.000 3.168
3.168 3.168 0.000
Hf Mn Rh
1 1 2
direct
0.000 0.000 0.000
0.500 0.500 0.500
0.250 0.250 0.250
0.750 0.750 0.750
```

Volume in A^3/atom: 15.903
Total energy in eV per formula unit: -36.48
Space-group type: Fm-3m

A plane-wave DFT calculation with PBE was carried out for crystalline Nd2MnSi2H at its relaxed geometry.

POSCAR file:
```
Nd2MnSi2H
1.0
3.023 0.000 0.000
0.000 3.023 0.000
0.000 0.000 15.091
Nd Mn Si H
2 1 2 1
direct
0.000 0.000 0.141
0.000 0.000 0.859
0.000 0.000 0.500
0.000 0.000 0.339
0.000 0.000 0.661
0.000 0.000 0.000
```

Volume in A^3/atom: 22.991
Total energy in eV per formula unit: -28.20
M_tot in μB per formula unit: 3.2
Space-group type: P4/mmm

A plane-wave DFT calculation with PBE was carried out for crystalline K2Bi8Se13 at its relaxed geometry.

POSCAR file:
```
K2Bi8Se13
1.0
17.784 0.000 0.000
0.000 4.247 0.000
-0.861 0.000 18.814
K Bi Se
4 16 26
direct
0.010 0.250 0.352
0.251 0.750 0.730
0.749 0.250 0.270
0.990 0.750 0.648
0.008 0.750 0.100
0.168 0.250 0.533
0.193 0.750 0.951
0.222 0.250 0.180
0.326 0.750 0.371
0.393 0.250 0.983
0.421 0.250 0.570
0.485 0.250 0.246
0.515 0.750 0.754
0.579 0.750 0.430
0.607 0.750 0.017
0.674 0.250 0.629
0.778 0.750 0.820
0.807 0.250 0.049
0.832 0.750 0.467
0.992 0.250 0.900
0.065 0.750 0.830
0.075 0.750 0.486
0.113 0.250 0.034
0.122 0.750 0.213
0.131 0.250 0.666
0.222 0.250 0.334
0.271 0.250 0.878
0.309 0.750 0.060
0.314 0.750 0.545
0.363 0.750 0.228
0.405 0.250 0.720
0.452 0.250 0.402
0.472 0.750 0.906
0.528 0.250 0.094
0.548 0.750 0.598
0.595 0.750 0.280
0.637 0.250 0.772
0.686 0.250 0.455
0.691 0.250 0.940
0.729 0.750 0.122
0.778 0.750 0.666
0.869 0.750 0.334
0.878 0.250 0.787
0.887 0.750 0.966
0.925 0.250 0.514
0.935 0.250 0.170
```

Volume in A^3/atom: 30.890
ΔE to the lowest computed polymorph in kcal/mol of atoms: 0.63
M_tot in μB per formula unit: 0.0
Space-group type: P2_1/m

A plane-wave DFT calculation with PBE was carried out for crystalline Er2SiSO4 at its relaxed geometry.

POSCAR file:
```
Er2SiSO4
1.0
5.366 -6.194 0.000
5.366 6.194 0.000
0.000 0.000 6.855
Er Si S O
8 4 4 16
direct
0.171 0.829 0.977
0.190 0.310 0.750
0.310 0.190 0.250
0.329 0.671 0.477
0.671 0.329 0.523
0.690 0.810 0.750
0.810 0.690 0.250
0.829 0.171 0.023
0.064 0.436 0.250
0.436 0.064 0.750
0.564 0.936 0.250
0.936 0.564 0.750
0.009 0.991 0.253
0.491 0.509 0.753
0.509 0.491 0.247
0.991 0.009 0.747
0.110 0.637 0.236
0.119 0.331 0.064
0.137 0.610 0.736
0.169 0.381 0.436
0.331 0.119 0.936
0.363 0.890 0.236
0.381 0.169 0.564
0.390 0.863 0.736
0.610 0.137 0.264
0.619 0.831 0.436
0.637 0.110 0.764
0.669 0.881 0.064
0.831 0.619 0.564
0.863 0.390 0.264
0.881 0.669 0.936
0.890 0.363 0.764
```

Volume in A^3/atom: 14.241
Total energy in eV per formula unit: -62.92
M_tot in μB per formula unit: 0.0
Space-group type: Cmce

A plane-wave DFT calculation with PBE was carried out for crystalline Ca3MgSi2O8 at its relaxed geometry.

POSCAR file:
```
Ca3MgSi2O8
1.0
9.968 0.000 0.000
0.000 5.269 0.000
-1.836 0.000 13.546
Ca Mg Si O
12 4 8 32
direct
0.024 0.231 0.379
0.024 0.269 0.879
0.239 0.747 0.978
0.239 0.753 0.478
0.429 0.241 0.595
0.429 0.259 0.095
0.571 0.741 0.905
0.571 0.759 0.405
0.761 0.247 0.522
0.761 0.253 0.022
0.976 0.731 0.121
0.976 0.769 0.621
0.328 0.733 0.712
0.328 0.767 0.212
0.672 0.233 0.788
0.672 0.267 0.288
0.124 0.230 0.640
0.124 0.270 0.140
0.390 0.212 0.862
0.390 0.288 0.362
0.610 0.712 0.638
0.610 0.788 0.138
0.876 0.730 0.860
0.876 0.770 0.360
0.011 0.728 0.945
0.011 0.772 0.445
0.072 0.118 0.739
0.072 0.382 0.239
0.189 0.516 0.632
0.189 0.984 0.132
0.241 0.017 0.618
0.241 0.483 0.118
0.279 0.175 0.430
0.279 0.325 0.930
0.353 0.593 0.343
0.353 0.907 0.843
0.419 0.108 0.269
0.419 0.392 0.769
0.457 0.709 0.568
0.457 0.791 0.068
0.543 0.209 0.932
0.543 0.291 0.432
0.581 0.608 0.231
0.581 0.892 0.731
0.647 0.093 0.157
0.647 0.407 0.657
0.721 0.675 0.070
0.721 0.825 0.570
0.759 0.517 0.882
0.759 0.983 0.382
0.811 0.016 0.868
0.811 0.484 0.368
0.928 0.618 0.761
0.928 0.882 0.261
0.989 0.228 0.555
0.989 0.272 0.055
```

Volume in A^3/atom: 12.705
ΔE to the lowest computed polymorph in kcal/mol of atoms: 1.48
M_tot in μB per formula unit: 0.0
Space-group type: P2_1/c

A plane-wave DFT calculation with PBE was carried out for crystalline CaTi2P2O10 at its relaxed geometry.

POSCAR file:
```
CaTi2P2O10
1.0
0.000 8.156 3.640
5.955 0.000 3.640
5.955 8.156 0.000
Ca Ti P O
2 4 4 20
direct
0.000 0.000 0.000
0.250 0.250 0.250
0.153 0.625 0.607
0.625 0.153 0.616
0.634 0.643 0.625
0.643 0.634 0.097
0.046 0.463 0.037
0.213 0.796 0.204
0.463 0.046 0.454
0.796 0.213 0.787
0.007 0.334 0.693
0.078 0.391 0.896
0.186 0.864 0.344
0.253 0.916 0.552
0.284 0.557 0.916
0.334 0.007 0.966
0.354 0.615 0.172
0.391 0.078 0.635
0.419 0.588 0.412
0.557 0.284 0.243
0.588 0.419 0.581
0.615 0.354 0.859
0.644 0.906 0.386
0.669 0.838 0.662
0.698 0.971 0.997
0.838 0.669 0.831
0.864 0.186 0.606
0.906 0.644 0.064
0.916 0.253 0.279
0.971 0.698 0.334
```

Volume in A^3/atom: 11.785
Total energy in eV per formula unit: -118.84
M_tot in μB per formula unit: 0.0
Space-group type: Fdd2

A plane-wave DFT calculation with PBE was carried out for crystalline LaSbPt at its relaxed geometry.

POSCAR file:
```
LaSbPt
1.0
3.794 -2.584 0.000
3.794 2.584 0.000
-0.681 0.000 8.562
La Sb Pt
2 2 2
direct
0.023 0.023 0.205
0.977 0.977 0.795
0.310 0.310 0.548
0.690 0.690 0.452
0.309 0.309 0.995
0.691 0.691 0.005
```

Volume in A^3/atom: 27.981
Total energy in eV per formula unit: -17.31
M_tot in μB per formula unit: 0.0
Space-group type: C2/m

A plane-wave DFT calculation with PBE was carried out for crystalline La5BPb3 at its relaxed geometry.

POSCAR file:
```
La5BPb3
1.0
9.773 0.000 0.000
-4.886 8.464 0.000
0.000 0.000 6.843
La B Pb
10 2 6
direct
0.000 0.225 0.250
0.000 0.775 0.750
0.225 0.000 0.250
0.225 0.225 0.750
0.333 0.667 0.000
0.333 0.667 0.500
0.667 0.333 0.000
0.667 0.333 0.500
0.775 0.000 0.750
0.775 0.775 0.250
0.000 0.000 0.000
0.000 0.000 0.500
0.000 0.406 0.750
0.000 0.594 0.250
0.406 0.000 0.750
0.406 0.406 0.250
0.594 0.000 0.250
0.594 0.594 0.750
```

Volume in A^3/atom: 31.444
Total energy in eV per formula unit: -46.50
M_tot in μB per formula unit: 0.9
Space-group type: P6_3/mcm

A plane-wave DFT calculation with PBE was carried out for crystalline SiO2 at its relaxed geometry.

POSCAR file:
```
SiO2
1.0
-3.928 3.928 13.793
3.928 -3.928 13.793
3.928 3.928 -13.793
Si O
16 32
direct
0.067 0.317 0.135
0.067 0.933 0.750
0.103 0.557 0.547
0.317 0.067 0.635
0.317 0.683 0.250
0.443 0.490 0.547
0.443 0.897 0.953
0.490 0.443 0.047
0.510 0.557 0.953
0.557 0.103 0.047
0.557 0.510 0.453
0.683 0.317 0.750
0.683 0.933 0.365
0.897 0.443 0.453
0.933 0.067 0.250
0.933 0.683 0.865
0.000 0.500 0.500
0.051 0.410 0.298
0.051 0.753 0.641
0.069 0.103 0.965
0.103 0.069 0.465
0.103 0.638 0.035
0.247 0.388 0.298
0.247 0.949 0.859
0.314 0.564 0.750
0.362 0.897 0.465
0.388 0.247 0.798
0.388 0.590 0.141
0.410 0.051 0.798
0.410 0.612 0.359
0.436 0.686 0.750
0.500 0.000 0.000
0.500 0.500 0.000
0.500 0.500 0.500
0.564 0.314 0.250
0.590 0.388 0.641
0.590 0.949 0.202
0.612 0.410 0.859
0.612 0.753 0.202
0.638 0.103 0.535
0.686 0.436 0.250
0.753 0.051 0.141
0.753 0.612 0.702
0.897 0.362 0.965
0.897 0.931 0.535
0.931 0.897 0.035
0.949 0.247 0.359
0.949 0.590 0.702
```

Volume in A^3/atom: 17.738
Total energy in eV per formula unit: -23.70
Space-group type: I4_1/amd

A plane-wave DFT calculation with PBE was carried out for crystalline SrSc2Te4 at its relaxed geometry.

POSCAR file:
```
SrSc2Te4
1.0
13.307 0.000 0.000
0.000 4.259 0.000
0.000 0.000 15.474
Sr Sc Te
4 8 16
direct
0.238 0.250 0.173
0.262 0.750 0.673
0.738 0.250 0.327
0.762 0.750 0.827
0.054 0.250 0.388
0.084 0.250 0.906
0.416 0.750 0.406
0.446 0.750 0.888
0.554 0.250 0.112
0.584 0.250 0.594
0.916 0.750 0.094
0.946 0.750 0.612
0.032 0.750 0.786
0.093 0.250 0.573
0.124 0.750 0.032
0.202 0.750 0.343
0.298 0.250 0.843
0.376 0.250 0.532
0.407 0.750 0.073
0.468 0.250 0.286
0.532 0.750 0.714
0.593 0.250 0.927
0.624 0.750 0.468
0.702 0.750 0.157
0.798 0.250 0.657
0.876 0.250 0.968
0.907 0.750 0.427
0.968 0.250 0.214
```

Volume in A^3/atom: 31.321
Total energy in eV per formula unit: -36.52
Space-group type: Pnma

A plane-wave DFT calculation with PBE was carried out for crystalline Ga at its relaxed geometry.

POSCAR file:
```
Ga
1.0
3.916 -2.338 0.000
3.916 2.338 0.000
0.000 0.000 4.608
Ga
4
direct
0.012 0.665 0.750
0.335 0.988 0.750
0.665 0.012 0.250
0.988 0.335 0.250
```

Volume in A^3/atom: 21.096
ΔE to the lowest computed polymorph in kcal/mol of atoms: 0.11
Space-group type: Cmcm

A plane-wave DFT calculation with PBE was carried out for crystalline TeO2 at its relaxed geometry.

POSCAR file:
```
TeO2
1.0
4.893 0.000 0.000
0.000 5.044 0.000
0.000 0.000 7.649
Te O
4 8
direct
0.214 0.031 0.378
0.286 0.969 0.878
0.714 0.469 0.622
0.786 0.531 0.122
0.029 0.634 0.939
0.093 0.235 0.182
0.407 0.765 0.682
0.471 0.366 0.439
0.529 0.866 0.061
0.593 0.265 0.818
0.907 0.735 0.318
0.971 0.134 0.561
```

Volume in A^3/atom: 15.732
Piezoelectric modulus e_max in C/m2: 0.15
Total energy in eV per formula unit: -16.11
Space-group type: P2_12_12_1

A plane-wave DFT calculation with PBE was carried out for crystalline CuTeSeBr at its relaxed geometry.

POSCAR file:
```
CuTeSeBr
1.0
8.188 0.000 0.000
0.000 4.996 0.000
-5.485 0.000 11.216
Cu Te Se Br
4 4 4 4
direct
0.188 0.133 0.250
0.188 0.367 0.750
0.812 0.633 0.250
0.812 0.867 0.750
0.284 0.010 0.644
0.284 0.490 0.144
0.716 0.510 0.856
0.716 0.990 0.356
0.418 0.704 0.841
0.418 0.796 0.341
0.582 0.204 0.659
0.582 0.296 0.159
0.084 0.143 0.885
0.084 0.357 0.385
0.916 0.643 0.615
0.916 0.857 0.115
```

Volume in A^3/atom: 28.677
Total energy in eV per formula unit: -13.29
M_tot in μB per formula unit: 0.0
Space-group type: P2_1/c

A plane-wave DFT calculation with PBE was carried out for crystalline DyNpRu2 at its relaxed geometry.

POSCAR file:
```
DyNpRu2
1.0
0.000 3.387 3.387
3.387 0.000 3.387
3.387 3.387 0.000
Dy Np Ru
1 1 2
direct
0.000 0.000 0.000
0.500 0.500 0.500
0.250 0.250 0.250
0.750 0.750 0.750
```

Volume in A^3/atom: 19.428
Total energy in eV per formula unit: -36.89
M_tot in μB per formula unit: 2.9
Space-group type: Fm-3m